No. 1
The following is a DFT calculation (PBE) of a relaxed Sr9La5I33 crystal.

Values from the calculation:
Its space group is No. 2. The value obtained for the magnetic moment is 0.00 μB per atom.

a = 12.963 Å, b = 13.055 Å, c = 24.541 Å
α = 98.95°, β = 100.36°, γ = 109.54°
Atoms (fractional coordinates):
Sr1 0.024 0.477 0.307
Sr2 0.181 0.896 0.044
Sr3 0.184 0.411 0.533
Sr4 0.257 0.359 0.119
Sr5 0.264 0.853 0.620
Sr6 0.363 0.280 0.344
Sr7 0.364 0.761 0.837
Sr8 0.415 0.748 0.426
Sr9 0.425 0.249 0.935
Sr10 0.575 0.751 0.065
Sr11 0.585 0.252 0.574
Sr12 0.636 0.239 0.163
Sr13 0.637 0.720 0.656
Sr14 0.736 0.147 0.380
Sr15 0.743 0.641 0.881
Sr16 0.816 0.589 0.467
Sr17 0.819 0.104 0.956
Sr18 0.976 0.523 0.693
La1 0.035 0.961 0.815
La2 0.121 0.453 0.914
La3 0.129 0.957 0.428
La4 0.321 0.363 0.737
La5 0.360 0.855 0.234
La6 0.640 0.145 0.766
La7 0.679 0.637 0.263
La8 0.871 0.043 0.572
La9 0.879 0.547 0.086
La10 0.965 0.039 0.185
I1 0.026 0.381 0.030
I2 0.036 0.890 0.540
I3 0.053 0.108 0.072
I4 0.056 0.607 0.571
I5 0.058 0.316 0.763
I6 0.075 0.064 0.321
I7 0.089 0.617 0.835
I8 0.104 0.195 0.913
I9 0.126 0.705 0.417
I10 0.142 0.210 0.617
I11 0.153 0.297 0.236
I12 0.155 0.689 0.126
I13 0.160 0.818 0.737
I14 0.207 0.002 0.190
I15 0.238 0.549 0.694
I16 0.253 0.458 0.406
I17 0.253 0.962 0.909
I18 0.256 0.145 0.794
I19 0.267 0.638 0.286
I20 0.303 0.219 0.473
I21 0.311 0.722 0.979
I22 0.323 0.957 0.357
I23 0.347 0.497 0.865
I24 0.348 0.454 0.013
I25 0.359 0.968 0.519
I26 0.380 0.178 0.064
I27 0.387 0.681 0.559
I28 0.417 0.140 0.675
I29 0.443 0.427 0.626
I30 0.443 0.646 0.173
I31 0.453 0.935 0.127
I32 0.462 0.375 0.225
I33 0.478 0.871 0.723
I34 0.522 0.129 0.277
I35 0.538 0.625 0.775
I36 0.547 0.065 0.873
I37 0.557 0.354 0.827
I38 0.557 0.573 0.374
I39 0.583 0.860 0.325
I40 0.613 0.319 0.441
I41 0.620 0.822 0.936
I42 0.641 0.032 0.481
I43 0.652 0.546 0.987
I44 0.653 0.503 0.135
I45 0.677 0.043 0.643
I46 0.689 0.278 0.021
I47 0.697 0.781 0.527
I48 0.733 0.362 0.714
I49 0.744 0.855 0.206
I50 0.747 0.038 0.091
I51 0.747 0.542 0.594
I52 0.762 0.451 0.306
I53 0.793 0.998 0.810
I54 0.840 0.182 0.263
I55 0.845 0.311 0.874
I56 0.847 0.703 0.764
I57 0.858 0.790 0.383
I58 0.874 0.295 0.583
I59 0.896 0.805 0.087
I60 0.911 0.383 0.165
I61 0.925 0.936 0.679
I62 0.942 0.684 0.237
I63 0.944 0.393 0.429
I64 0.947 0.892 0.928
I65 0.964 0.110 0.460
I66 0.974 0.619 0.970



No. 2
The following is a DFT calculation (PBE) of a relaxed Mg2Si crystal.

Values from the calculation:
Its space group is No. 2. The value obtained for the magnetic moment is 0.00 μB per atom.

a = 5.747 Å, b = 5.869 Å, c = 7.997 Å
α = 100.79°, β = 108.72°, γ = 102.64°
Atoms (fractional coordinates):
Mg1 0.034 0.370 0.188
Mg2 0.075 0.139 0.784
Mg3 0.397 0.252 0.549
Mg4 0.452 0.126 0.166
Mg5 0.548 0.874 0.834
Mg6 0.603 0.748 0.451
Mg7 0.925 0.861 0.216
Mg8 0.966 0.630 0.812
Si1 0.126 0.709 0.518
Si2 0.398 0.621 0.074
Si3 0.602 0.379 0.926
Si4 0.874 0.291 0.482



No. 3
The following is a DFT calculation (PBE) of a relaxed Tb3Pt crystal.

Values from the calculation:
Its space group is No. 62.

a = 7.070 Å, b = 9.679 Å, c = 6.508 Å
α = 90.00°, β = 90.00°, γ = 90.00°
Atoms (fractional coordinates):
Tb1 0.029 0.250 0.135
Tb2 0.180 0.061 0.677
Tb3 0.180 0.439 0.677
Tb4 0.320 0.561 0.177
Tb5 0.320 0.939 0.177
Tb6 0.471 0.750 0.635
Tb7 0.529 0.250 0.365
Tb8 0.680 0.061 0.823
Tb9 0.680 0.439 0.823
Tb10 0.820 0.561 0.323
Tb11 0.820 0.939 0.323
Tb12 0.971 0.750 0.865
Pt1 0.112 0.750 0.443
Pt2 0.388 0.250 0.943
Pt3 0.612 0.750 0.057
Pt4 0.888 0.250 0.557



No. 4
The following is a DFT calculation (PBE) of a relaxed Ce4C4Br3 crystal.

Values from the calculation:
Its space group is No. 2. The value obtained for the magnetic moment is 0.00 μB per atom.

a = 4.153 Å, b = 10.977 Å, c = 11.094 Å
α = 102.84°, β = 90.29°, γ = 94.46°
Atoms (fractional coordinates):
Ce1 0.014 0.021 0.260
Ce2 0.242 0.362 0.331
Ce3 0.374 0.827 0.939
Ce4 0.380 0.833 0.482
Ce5 0.620 0.167 0.518
Ce6 0.626 0.173 0.061
Ce7 0.758 0.638 0.669
Ce8 0.986 0.979 0.740
C1 0.134 0.039 0.016
C2 0.136 0.041 0.505
C3 0.239 0.762 0.695
C4 0.492 0.152 0.285
C5 0.508 0.848 0.715
C6 0.761 0.238 0.305
C7 0.864 0.959 0.495
C8 0.866 0.961 0.984
Br1 0.193 0.388 0.077
Br2 0.200 0.403 0.611
Br3 0.414 0.796 0.204
Br4 0.586 0.204 0.796
Br5 0.800 0.597 0.389
Br6 0.807 0.612 0.923



No. 5
The following is a DFT calculation (PBE) of a relaxed LiNbTe3O12 crystal.

Values from the calculation:
The energy above the most stable polymorph in this dataset comes out at 7 meV/atom. Its space group is No. 1. The largest piezoelectric modulus is 13.81 C/m². The value obtained for the magnetic moment is 0.00 μB per atom.

a = 5.156 Å, b = 5.377 Å, c = 7.459 Å
α = 86.95°, β = 89.99°, γ = 89.92°
Atoms (fractional coordinates):
Li1 0.000 0.000 0.000
Nb1 0.995 0.547 0.768
Te1 0.494 0.048 0.772
Te2 0.500 0.046 0.280
Te3 0.997 0.542 0.277
O1 0.116 0.548 0.518
O2 0.188 0.858 0.211
O3 0.192 0.230 0.839
O4 0.304 0.751 0.833
O5 0.306 0.349 0.209
O6 0.368 0.047 0.524
O7 0.626 0.048 0.030
O8 0.683 0.351 0.725
O9 0.687 0.736 0.344
O10 0.804 0.866 0.730
O11 0.812 0.231 0.341
O12 0.891 0.554 0.034



No. 6
The following is a DFT calculation (PBE) of a relaxed Pr2ScSi2 crystal.

Values from the calculation:
Its space group is No. 127.

a = 7.429 Å, b = 7.429 Å, c = 4.480 Å
α = 90.00°, β = 90.00°, γ = 90.00°
Atoms (fractional coordinates):
Pr1 0.178 0.322 0.000
Pr2 0.322 0.822 0.000
Pr3 0.678 0.178 0.000
Pr4 0.822 0.678 0.000
Sc1 0.000 0.000 0.500
Sc2 0.500 0.500 0.500
Si1 0.117 0.617 0.500
Si2 0.383 0.117 0.500
Si3 0.617 0.883 0.500
Si4 0.883 0.383 0.500



| no. | energy relative to the elements (eV/f.u.) |
| --- | --- |
| 1 | -86.09 |
| 2 | 0.02 |
| 3 | -2.78 |
| 4 | -11.96 |
| 5 | -30.52 |
| 6 | -3.30 |